Here is a relaxed structure of Ba2LiZn2S2O2 from Materials Project. Energies are from GGA-PBE.

POSCAR file:
```
Ba2LiZn2S2O2
1.0
4.0411 0.0000 0.0000
-0.0065 6.5119 0.0000
-2.0191 -1.0038 6.8517
Ba Li Zn S O
2 1 2 2 2
Direct
0.0000 0.0000 0.0000
0.2891 0.3877 0.5773
0.1474 0.6999 0.2927
0.5586 0.4311 0.1162
0.7292 0.9717 0.4573
0.3186 0.9143 0.6358
0.9691 0.4756 0.9372
0.6268 0.1805 0.2549
0.6439 0.7001 0.2850
```

Summary:
The energy above the most stable polymorph in this dataset comes out at 0.79 eV per formula unit. The space-group type is P1, No. 1. For the energy of formation from the pure elements, the calculation gives -1692 meV per atom.